First-principles (PBE-GGA) data for a geometry-optimized Sr2HfO4 structure, as listed in Materials Project.

Cell: 5.8379 5.8379 12.6747 Å, 90.00 90.00 90.00°
Space group P4_2/ncm (No. 138, origin choice 2)
Symmetry-distinct sites (fractional):
Sr  0.0136  0.0136  0.1483 (multiplicity 8)
Hf  0.0000  0.0000  0.5000 (multiplicity 4)
O  0.0373  0.0373  0.6632 (multiplicity 8)
O  0.2500  0.2500  0.4788 (multiplicity 4)
O  0.2500  0.7500  0.0000 (multiplicity 4)



First-principles (PBE-GGA) data for a geometry-optimized LiTi2P4H3O16 structure, as listed in Materials Project.

Cell: 5.0217 7.4269 8.0682 Å, 90.19 92.35 102.26°
Space group P1 (No. 1)
Symmetry-distinct sites (fractional):
Li  0.0000  0.0000  0.0000 (multiplicity 1)
Ti  0.1007  0.1554  0.3839 (multiplicity 1)
Ti  0.5915  0.6352  0.8806 (multiplicity 1)
P  0.2139  0.9032  0.7227 (multiplicity 1)
P  0.5032  0.9006  0.2110 (multiplicity 1)
P  0.7074  0.4000  0.5440 (multiplicity 1)
P  0.9952  0.3859  0.0318 (multiplicity 1)
H  0.0140  0.5793  0.4318 (multiplicity 1)
H  0.2028  0.7229  0.3294 (multiplicity 1)
H  0.5453  0.1249  0.8591 (multiplicity 1)
O  0.0737  0.3339  0.2129 (multiplicity 1)
O  0.1487  0.9660  0.5457 (multiplicity 1)
O  0.2636  0.4938  0.9527 (multiplicity 1)
O  0.2687  0.0060  0.2004 (multiplicity 1)
O  0.3432  0.0797  0.8321 (multiplicity 1)
O  0.3875  0.7134  0.3039 (multiplicity 1)
O  0.4110  0.7706  0.7146 (multiplicity 1)
O  0.4536  0.2973  0.4465 (multiplicity 1)
O  0.5984  0.8464  0.0432 (multiplicity 1)
O  0.6369  0.4554  0.7162 (multiplicity 1)
O  0.7529  0.0079  0.3111 (multiplicity 1)
O  0.8073  0.5269  0.0417 (multiplicity 1)
O  0.8255  0.5863  0.4501 (multiplicity 1)
O  0.8632  0.2123  0.9361 (multiplicity 1)
O  0.9331  0.2876  0.5466 (multiplicity 1)
O  0.9553  0.8167  0.8138 (multiplicity 1)



First-principles (PBE-GGA) data for a geometry-optimized Na4Al11Si13Ag7O48 structure, as listed in Materials Project.

Cell: 12.0867 12.4552 12.7928 Å, 90.17 91.26 90.04°
Space group P1 (No. 1)
Symmetry-distinct sites (fractional):
Na  0.0000  0.0000  0.0000 (multiplicity 1)
Na  0.0247  0.7903  0.9966 (multiplicity 1)
Na  0.2095  0.1969  0.2109 (multiplicity 1)
Na  0.4651  0.3982  0.0310 (multiplicity 1)
Al  0.0152  0.2118  0.0435 (multiplicity 1)
Al  0.0151  0.5799  0.0403 (multiplicity 1)
Al  0.0165  0.7662  0.2442 (multiplicity 1)
Al  0.0191  0.5845  0.7925 (multiplicity 1)
Al  0.0210  0.0238  0.2442 (multiplicity 1)
Al  0.0242  0.2070  0.7962 (multiplicity 1)
Al  0.2183  0.3967  0.0455 (multiplicity 1)
Al  0.2243  0.3971  0.8030 (multiplicity 1)
Al  0.3783  0.3933  0.2656 (multiplicity 1)
Al  0.6554  0.3977  0.2517 (multiplicity 1)
Al  0.8095  0.3928  0.0370 (multiplicity 1)
Si  0.0221  0.7681  0.6042 (multiplicity 1)
Si  0.0230  0.0218  0.6038 (multiplicity 1)
Si  0.2072  0.7672  0.4326 (multiplicity 1)
Si  0.2086  0.0228  0.4320 (multiplicity 1)
Si  0.3893  0.2097  0.4309 (multiplicity 1)
Si  0.3894  0.5811  0.4306 (multiplicity 1)
Si  0.3978  0.3969  0.6044 (multiplicity 1)
Si  0.6550  0.2118  0.4252 (multiplicity 1)
Si  0.6559  0.5799  0.4267 (multiplicity 1)
Si  0.6580  0.3970  0.5979 (multiplicity 1)
Si  0.8334  0.7673  0.4248 (multiplicity 1)
Si  0.8337  0.0217  0.4225 (multiplicity 1)
Si  0.8339  0.3975  0.7896 (multiplicity 1)
Ag  0.0139  0.3996  0.1938 (multiplicity 1)
Ag  0.1883  0.5712  0.2279 (multiplicity 1)
Ag  0.2116  0.5846  0.6339 (multiplicity 1)
Ag  0.2131  0.2111  0.6299 (multiplicity 1)
Ag  0.8331  0.1978  0.6258 (multiplicity 1)
Ag  0.8457  0.2233  0.2251 (multiplicity 1)
Ag  0.8475  0.5681  0.2255 (multiplicity 1)
O  0.0107  0.6399  0.9180 (multiplicity 1)
O  0.0153  0.8951  0.1903 (multiplicity 1)
O  0.0163  0.0983  0.7038 (multiplicity 1)
O  0.0172  0.1506  0.9203 (multiplicity 1)
O  0.0172  0.6836  0.1350 (multiplicity 1)
O  0.0196  0.6961  0.7064 (multiplicity 1)
O  0.0286  0.1076  0.1367 (multiplicity 1)
O  0.0302  0.8958  0.6357 (multiplicity 1)
O  0.1261  0.2934  0.0788 (multiplicity 1)
O  0.1338  0.0543  0.5358 (multiplicity 1)
O  0.1364  0.7371  0.5385 (multiplicity 1)
O  0.1361  0.7389  0.3273 (multiplicity 1)
O  0.1392  0.5130  0.0685 (multiplicity 1)
O  0.1417  0.0522  0.3249 (multiplicity 1)
O  0.1441  0.5130  0.7756 (multiplicity 1)
O  0.1452  0.2796  0.7735 (multiplicity 1)
O  0.2399  0.8950  0.4394 (multiplicity 1)
O  0.2865  0.3940  0.9276 (multiplicity 1)
O  0.3199  0.3868  0.1430 (multiplicity 1)
O  0.3221  0.0955  0.4462 (multiplicity 1)
O  0.3216  0.6952  0.4421 (multiplicity 1)
O  0.3312  0.3964  0.7095 (multiplicity 1)
O  0.3337  0.5123  0.3348 (multiplicity 1)
O  0.3380  0.2714  0.3304 (multiplicity 1)
O  0.3658  0.2864  0.5353 (multiplicity 1)
O  0.3685  0.5091  0.5382 (multiplicity 1)
O  0.5164  0.3995  0.2558 (multiplicity 1)
O  0.5224  0.1834  0.4260 (multiplicity 1)
O  0.5218  0.6065  0.4210 (multiplicity 1)
O  0.5289  0.3930  0.6275 (multiplicity 1)
O  0.6812  0.5044  0.5297 (multiplicity 1)
O  0.6858  0.2846  0.5315 (multiplicity 1)
O  0.6983  0.2775  0.3246 (multiplicity 1)
O  0.7011  0.3960  0.1245 (multiplicity 1)
O  0.7017  0.5153  0.3254 (multiplicity 1)
O  0.7217  0.6944  0.4392 (multiplicity 1)
O  0.7237  0.0980  0.4365 (multiplicity 1)
O  0.7290  0.3918  0.7037 (multiplicity 1)
O  0.7787  0.3957  0.9036 (multiplicity 1)
O  0.7979  0.8954  0.4196 (multiplicity 1)
O  0.8893  0.2766  0.0674 (multiplicity 1)
O  0.8976  0.7331  0.3195 (multiplicity 1)
O  0.8986  0.5021  0.0706 (multiplicity 1)
O  0.9024  0.0575  0.3207 (multiplicity 1)
O  0.9036  0.2850  0.7669 (multiplicity 1)
O  0.9060  0.5019  0.7640 (multiplicity 1)
O  0.9104  0.0443  0.5301 (multiplicity 1)
O  0.9147  0.7510  0.5272 (multiplicity 1)



In the order shown, the computed calculated formation energy values come out to -3596, -2613, -2783 meV per atom.
In the order shown, the computed E values come out to -7.94, -7.14, -6.90 eV per atom.